Record 1
Below is Hf6Al2Pt after structural relaxation, with properties calculated at the PBE level.

Results
* energy of formation: -0.4736 eV/atom
* total DFT energy (no corrections): -8.62 eV per atom
* SG: P-62m (189)

The structure in extended XYZ format:
```
9
Lattice="3.9850 -6.9021 0.0000 3.9850 6.9021 0.0000 0.0000 0.0000 3.3395" Properties=species:S:1:pos:R:3 pbc="T T T"
Hf 2.9151 -5.0492 1.6697
Hf 2.9151 5.0492 1.6697
Hf 4.7962 0.0000 0.0000
Hf 1.5869 2.7485 0.0000
Hf 1.5869 -2.7485 0.0000
Hf 2.1396 0.0000 1.6697
Al 3.9850 -2.3007 1.6697
Al 3.9850 2.3007 1.6697
Pt 0.0000 0.0000 0.0000
```

=====

Record 2
Below is HfAlRh2 after structural relaxation, with properties calculated at the PBE level.

Results
* energy of formation: -1.0208 eV/atom
* total DFT energy (no corrections): -8.13 eV per atom
* SG: Fm-3m (225)

The structure in extended XYZ format:
```
4
Lattice="0.0000 3.1552 3.1552 3.1552 0.0000 3.1552 3.1552 3.1552 0.0000" Properties=species:S:1:pos:R:3 pbc="T T T"
Rh 4.7328 4.7328 4.7328
Rh 1.5776 1.5776 1.5776
Hf 3.1552 3.1552 3.1552
Al 0.0000 0.0000 0.0000
```

=====

Record 3
Below is HfAlRh after structural relaxation, with properties calculated at the PBE level.

Results
* energy of formation: -0.7586 eV/atom
* total DFT energy (no corrections): -7.78 eV per atom
* SG: Amm2 (38)
* magnetization: 0.00 μB per formula unit

The structure in extended XYZ format:
```
12
Lattice="2.6779 -4.5786 0.0000 2.6779 4.5786 0.0000 0.0000 0.0000 8.2177" Properties=species:S:1:pos:R:3 pbc="T T T"
Al 3.9745 -0.7984 0.0000
Al 2.6779 -4.5374 6.1132
Al 2.6779 -4.5374 2.1044
Al 1.3813 -0.7984 0.0000
Rh 3.9978 0.7770 4.1088
Rh 1.3580 0.7770 4.1088
Rh 2.6779 3.0516 4.1088
Rh 2.6779 -3.0229 0.0000
Hf 2.6779 1.5195 1.7271
Hf 2.6779 1.5195 6.4906
Hf 2.6779 -1.5537 5.5847
Hf 2.6779 -1.5537 2.6330
```

=====

Record 4
Below is Hf10Al3Si3 after structural relaxation, with properties calculated at the PBE level.

Results
* energy of formation: -0.5020 eV/atom
* total DFT energy (no corrections): -8.46 eV per atom
* SG: P-62m (189)
* magnetization: 0.04 μB per formula unit

The structure in extended XYZ format:
```
16
Lattice="0.9296 1.9238 7.7030 -5.9927 3.1893 -4.2211 -3.3077 -4.2741 1.4666" Properties=species:S:1:pos:R:3 pbc="T T T"
Hf -2.8989 -0.8797 1.5895
Hf -4.5056 1.7074 0.1173
Hf -1.4720 0.7834 -1.0368
Hf -2.1981 1.2856 4.0920
Hf -6.1726 -0.4466 0.8565
Hf -6.1729 0.2680 -2.4498
Hf -3.8652 -0.8685 4.8312
Hf -0.9528 -0.6863 6.5421
Hf 0.2283 0.4725 1.8921
Hf -3.8194 3.8571 2.6266
Al -4.7307 0.9702 2.8493
Al -4.0047 -0.8859 -0.9226
Al -1.2892 -1.3824 3.7551
Si 0.5668 1.1730 4.6968
Si -1.9760 1.9955 1.3589
Si -3.6539 1.9446 -2.5737
```

=====

Record 5
Below is Tb2HfAl9 after structural relaxation, with properties calculated at the PBE level.

Results
* energy of formation: -0.4037 eV/atom
* total DFT energy (no corrections): -4.81 eV per atom
* SG: P4/mmm (123)
* magnetization: 0.03 μB per formula unit

The structure in extended XYZ format:
```
12
Lattice="-4.1938 -0.4446 0.0549 0.1741 -1.1414 4.0565 -1.2340 12.0670 3.4482" Properties=species:S:1:pos:R:3 pbc="T T T"
Al -2.8339 7.2653 4.3584
Al -0.9521 9.5906 4.9319
Al -0.5300 5.4628 3.7523
Al -2.4198 3.2158 3.2012
Al -2.2918 1.6834 0.5720
Al -3.1360 9.9390 2.9311
Al -2.0098 -0.7930 2.0557
Al -0.1078 1.3350 2.5728
Al -2.7139 5.8112 1.7515
Tb -0.4055 3.9649 1.1330
Tb -0.8285 8.1021 2.3152
Hf 0.0000 0.0000 0.0000
```

=====

Record 6
Below is HfAlW4 after structural relaxation, with properties calculated at the PBE level.

Results
* energy of formation: 0.1198 eV/atom
* total DFT energy (no corrections): -10.80 eV per atom
* SG: F-43m (216)
* magnetization: 0.00 μB per formula unit

The structure in extended XYZ format:
```
6
Lattice="0.0000 3.7701 3.7701 3.7701 0.0000 3.7701 3.7701 3.7701 0.0000" Properties=species:S:1:pos:R:3 pbc="T T T"
W 4.7091 4.7091 4.7091
W 4.7091 2.8311 2.8311
W 2.8311 4.7091 2.8311
W 2.8311 2.8311 4.7091
Hf 0.0000 0.0000 0.0000
Al 1.8850 1.8850 1.8850
```

=====

Record 7
Below is HfAlZn after structural relaxation, with properties calculated at the PBE level.

Results
* energy of formation: -0.3715 eV/atom
* total DFT energy (no corrections): -5.36 eV per atom
* SG: Imma (74)

The structure in extended XYZ format:
```
6
Lattice="-2.5990 2.6364 3.6847 2.5990 -2.6364 3.6847 2.5990 2.6364 -3.6847" Properties=species:S:1:pos:R:3 pbc="T T T"
Al 0.0000 0.0000 3.6847
Al 2.5990 0.0000 0.0000
Zn -1.2995 1.3182 1.8424
Zn 1.2995 1.3182 1.8424
Hf 2.5990 -1.3182 2.7557
Hf 0.0000 3.9546 0.9291
```

=====

Record 8
Below is Hf2Al3Zn after structural relaxation, with properties calculated at the PBE level.

Results
* energy of formation: -0.4330 eV/atom
* total DFT energy (no corrections): -5.83 eV per atom
* SG: R-3m (166)

The structure in extended XYZ format:
```
6
Lattice="-3.3214 1.4686 3.7401 -3.3946 -3.4838 1.8752 0.6694 -1.8306 4.8350" Properties=species:S:1:pos:R:3 pbc="T T T"
Hf -2.2683 -1.4427 3.9204
Hf -3.7783 -2.4030 6.5299
Zn 0.0000 0.0000 0.0000
Al -1.6607 0.7343 1.8700
Al 0.3347 -0.9153 2.4175
Al -1.6973 -1.7419 0.9376
```

=====

Record 9
Below is Mg17Al11Hg after structural relaxation, with properties calculated at the PBE level.

Results
* energy of formation: -0.0334 eV/atom
* total DFT energy (no corrections): -2.40 eV per atom
* SG: Cm (8)
* magnetization: 0.00 μB per formula unit

The structure in extended XYZ format:
```
29
Lattice="-4.9113 -5.0529 5.8824 -0.0325 -3.9830 -8.3072 8.5623 0.7009 3.0187" Properties=species:S:1:pos:R:3 pbc="T T T"
Mg 3.5627 -5.1515 -4.6281
Mg -0.0115 -0.0193 -0.0020
Mg -1.7142 -5.7069 -6.2799
Mg 2.3620 -5.4711 0.3678
Mg -0.0286 -1.3764 -2.8122
Mg -0.2522 -2.8275 4.5014
Mg -0.1053 -4.9165 2.1024
Mg -0.9109 -5.9817 -0.7930
Mg 2.6770 -2.1747 -4.0369
Mg -1.5666 -3.9945 -3.1589
Mg 5.1593 -0.8385 -0.8061
Mg 2.9554 0.2242 1.0231
Mg 4.4215 -3.6929 -1.9307
Mg 4.1358 -3.0775 1.1831
Mg -2.9486 -4.2610 0.9378
Mg 2.4884 -4.1203 3.7254
Mg 1.4223 -4.5636 -2.3937
Al 1.4224 -3.6927 6.7137
Al -2.4385 -4.7615 3.8356
Al -0.2582 -3.1916 -0.3339
Al 0.6377 -4.0973 -5.1429
Al 1.3222 -2.3194 1.7526
Al 2.2158 -2.1261 -0.8693
Al 6.9304 -1.9740 -2.7974
Al 5.4007 -2.8117 -4.8561
Al 6.0849 -1.0999 2.0266
Al -3.1133 -6.4448 -3.1218
Al 3.8504 -2.6358 6.1800
Hg 4.5990 -5.8449 2.5493
```

=====

Record 10
Below is Al2HgSe4 after structural relaxation, with properties calculated at the PBE level.

Results
* energy of formation: -0.9177 eV/atom
* total DFT energy (no corrections): -3.76 eV per atom
* SG: Fd-3m (227)
* magnetization: 0.00 μB per formula unit

The structure in extended XYZ format:
```
14
Lattice="0.0000 5.5024 5.5024 5.5024 0.0000 5.5024 5.5024 5.5024 0.0000" Properties=species:S:1:pos:R:3 pbc="T T T"
Hg 2.7512 2.7512 2.7512
Hg 0.0000 0.0000 0.0000
Se 4.2890 6.7158 6.7158
Se 6.7158 6.7158 4.2890
Se 4.2890 4.2890 4.2890
Se 9.4670 9.4670 9.4670
Se 6.7158 4.2890 6.7158
Se 9.4670 7.0403 7.0403
Se 7.0403 7.0403 9.4670
Se 7.0403 9.4670 7.0403
Al 6.8780 4.1268 4.1268
Al 4.1268 4.1268 6.8780
Al 4.1268 6.8780 4.1268
Al 6.8780 6.8780 6.8780
```

=====

Record 11
Below is Al2Hg5Se8 after structural relaxation, with properties calculated at the PBE level.

Results
* energy of formation: -0.4838 eV/atom
* total DFT energy (no corrections): -2.70 eV per atom
* SG: P1 (1)
* magnetization: 0.00 μB per formula unit

The structure in extended XYZ format:
```
60
Lattice="-3.5345 6.7167 -3.6095 -3.0520 -2.6564 7.4107 20.5019 15.9768 10.2008" Properties=species:S:1:pos:R:3 pbc="T T T"
Se 17.0362 17.7533 12.2123
Se 4.2244 3.6238 3.9839
Se 7.1542 10.3747 6.8067
Se -0.9062 8.5177 4.6158
Se 2.4135 8.8291 7.6609
Se 11.4327 11.3663 6.4876
Se -3.3665 6.7484 -3.3651
Se 5.6766 6.7281 5.5618
Se 18.9086 14.6204 13.7911
Se 13.1881 10.2230 13.0392
Se 0.9862 5.3384 6.2002
Se 11.2040 13.1084 11.5438
Se 8.2944 11.1319 3.4245
Se 4.2534 10.0125 3.9432
Se 16.1887 14.7191 10.8982
Se 12.7584 14.6922 7.5754
Se 8.3870 6.4302 8.9124
Se 15.4328 16.8203 15.3950
Se 4.0148 5.3511 9.5656
Se 14.5219 13.1521 14.4662
Se 13.9378 18.0131 9.0872
Se 1.6485 3.3448 1.3182
Se 10.2238 10.2005 9.9945
Se 2.5661 6.7276 2.8234
Se 12.8125 16.9136 12.5826
Se -1.9674 5.4212 3.3615
Se 7.0830 5.3440 12.3935
Se -0.4189 6.7075 -0.6203
Se 9.9031 14.7051 4.6991
Se 10.9396 17.7792 6.0185
Se 8.3761 13.2411 8.2414
Se -0.2813 2.1024 5.0690
Hg 10.4695 14.6126 9.4526
Hg 3.2335 6.6591 7.1587
Hg 7.0867 14.5723 6.0898
Hg 1.6427 9.6219 5.2930
Hg 16.5724 14.5797 15.6405
Hg 5.8938 13.2098 9.8373
Hg 14.0551 12.4102 7.3879
Hg -2.8954 6.6827 0.9478
Hg 13.3481 19.1192 6.6438
Hg 1.6980 8.0583 0.5873
Hg -2.8221 1.4868 6.5851
Hg 2.4102 3.0151 5.9216
Hg -0.9466 2.9225 2.6883
Hg 16.6411 19.0151 9.9414
Hg 5.0225 9.7876 8.5591
Hg 13.3498 14.5905 12.3310
Hg 7.8286 8.0173 6.8175
Hg 15.0925 15.8383 8.6457
Hg 2.9337 10.9021 1.8032
Hg 7.6971 9.7728 11.4488
Al 11.7315 17.7680 10.5654
Al 6.2399 6.5356 10.3830
Al 9.2217 11.1505 7.9811
Al 4.7508 7.9185 3.6152
Al 0.2251 6.5983 4.2293
Al 18.2847 15.8917 11.7775
Al -4.2942 5.3168 4.8402
Al 12.0417 15.8883 5.5232
```

=====

Record 12
Below is Al2HgSe4 after structural relaxation, with properties calculated at the PBE level.

Results
* maximum piezoelectric response: 0.22 C/m²
* energy of formation: -0.9596 eV/atom
* total DFT energy (no corrections): -3.80 eV per atom
* SG: I-4 (82)

The structure in extended XYZ format:
```
7
Lattice="-2.9403 2.9403 5.4620 2.9403 -2.9403 5.4620 2.9403 2.9403 -5.4620" Properties=species:S:1:pos:R:3 pbc="T T T"
Se 1.5878 4.2775 1.5089
Se 1.6032 1.5878 -1.5089
Se 1.3525 -1.3372 6.9709
Se 1.3372 1.3525 3.9531
Al 2.9403 0.0000 2.7310
Al 0.0000 0.0000 5.4620
Hg 0.0000 0.0000 0.0000
```